Record 1
## Na6Ca3HfSi2S4O24 (GGA-PBE)

Data for a geometry-optimized Na6Ca3HfSi2S4O24 structure.

Calculated values
Size of the total moment ... 0.00 μB/cell
E_form ... -2.623 eV/atom
Space-group type ... No. 1
V ... 1782 Å³ per cell

Structure (POSCAR):
```
Na6Ca3HfSi2S4O24
1.0
9.363 0.003 0.012
-4.679 8.134 -0.013
0.031 -0.021 23.398
Na Ca Hf Si S O
18 9 3 6 12 72
Cartesian
1.269 8.100 6.108
1.748 2.955 5.619
2.972 5.295 17.285
1.398 2.862 13.793
-3.092 5.678 13.629
1.854 7.626 13.667
-1.774 7.931 1.689
-1.049 2.744 1.699
6.170 5.495 21.435
6.497 0.299 21.106
1.512 2.292 21.500
3.263 5.634 9.890
4.490 8.061 11.608
0.147 0.153 23.272
4.927 2.416 19.308
4.856 2.555 7.901
0.132 5.266 3.745
0.234 5.515 15.704
0.008 0.028 8.224
9.343 0.064 19.813
4.559 8.063 15.338
-4.641 8.111 3.410
4.727 2.615 16.075
4.644 2.795 4.259
0.060 5.387 0.372
0.083 5.461 11.979
-0.041 5.545 7.580
4.648 2.642 22.946
4.707 2.672 11.278
-0.103 5.486 19.174
1.767 8.024 17.622
3.322 5.088 13.656
1.881 2.716 1.998
-1.411 3.005 21.533
-1.362 7.840 21.563
1.462 7.964 9.756
-1.835 8.119 5.804
3.264 5.682 5.899
-1.379 2.426 5.813
1.413 2.547 17.585
-3.188 5.671 17.579
7.421 2.719 13.594
3.312 0.340 13.593
6.061 5.092 1.882
6.041 0.375 1.941
2.822 5.333 21.425
1.518 2.953 9.782
-2.875 5.343 9.827
1.959 0.127 6.985
3.755 6.324 7.137
8.296 1.572 6.993
1.143 1.715 18.767
5.623 6.352 18.776
2.682 8.109 18.958
2.634 7.705 16.242
0.899 1.930 16.331
-3.387 6.468 16.340
3.578 6.509 4.714
-0.848 1.795 4.568
-2.627 8.017 4.555
6.632 2.874 14.814
3.921 0.904 14.798
3.637 4.243 14.997
5.792 4.285 3.082
5.539 1.000 3.175
2.699 2.758 3.394
3.002 2.654 0.694
5.549 4.373 0.658
5.683 1.262 0.745
3.709 1.185 12.402
3.920 4.188 12.345
6.491 2.548 12.412
2.016 5.606 22.613
-0.743 3.571 22.881
-1.116 7.044 22.930
1.157 7.027 11.056
0.932 3.572 10.985
-2.087 5.484 11.062
-2.036 5.124 8.643
0.831 7.398 8.350
1.297 3.793 8.578
-1.044 4.055 20.273
-0.624 7.018 20.289
1.950 5.101 20.229
5.584 6.510 9.698
3.103 8.021 9.708
1.024 1.582 9.648
8.520 1.489 21.351
-2.959 8.034 21.327
3.783 6.443 21.245
8.295 1.511 13.628
1.823 0.348 13.645
4.081 6.565 13.559
5.415 6.429 1.927
7.522 0.296 1.932
1.023 1.291 1.829
5.478 1.178 17.539
2.873 2.807 17.520
5.525 4.349 17.488
3.838 4.308 5.832
6.495 2.531 5.773
3.728 1.216 5.799
3.635 4.058 21.597
6.265 2.970 21.650
4.083 1.220 21.636
5.446 1.349 10.002
3.046 2.911 9.938
5.578 4.115 9.951
0.864 3.989 1.963
-1.827 5.268 1.808
0.720 7.192 1.804
-0.874 7.080 13.427
1.674 5.240 13.575
-1.118 3.940 13.404
-0.941 6.925 5.886
1.752 5.539 5.942
-0.713 3.759 5.937
0.740 3.902 17.731
-1.689 5.498 17.738
0.898 6.556 17.798
```



Record 2
## Na10Ca4Hf4Si5S7O48 (GGA-PBE)

Data for a geometry-optimized Na10Ca4Hf4Si5S7O48 structure.

Calculated values
Size of the total moment ... 0.00 μB/cell
E_form ... -2.707 eV/atom
Space-group type ... No. 1
V ... 3426 Å³ per cell

Structure (POSCAR):
```
Na10Ca4Hf4Si5S7O48
1.0
-17.278 -2.321 6.082
7.194 -1.205 5.760
-0.798 22.371 5.752
Na Ca Hf Si S O
30 12 12 15 21 144
Cartesian
-5.692 4.838 3.668
-9.419 3.741 7.475
-12.838 2.249 11.112
-4.291 3.388 8.007
-1.782 15.400 9.910
-10.421 14.205 12.942
-15.168 13.739 12.429
-6.531 14.897 9.390
-3.480 16.448 5.459
-12.134 15.264 8.506
0.758 10.823 10.911
-7.878 9.641 13.957
-0.826 -0.039 6.464
-9.446 -1.208 9.467
-4.182 18.375 12.090
-12.820 17.186 15.127
-6.665 7.591 6.968
-2.986 8.643 3.481
-17.319 8.790 8.859
-1.782 8.719 11.611
-10.780 18.705 17.472
-2.167 19.949 14.405
-3.788 17.369 8.742
-12.433 16.181 11.781
-3.602 6.044 5.693
-12.368 5.224 8.470
2.052 2.387 5.633
-6.468 1.303 8.731
1.512 13.688 8.262
-7.152 12.476 11.331
-17.457 5.560 8.100
-1.727 5.515 10.816
-10.738 15.530 16.729
-2.102 16.701 13.691
-3.913 14.034 7.949
-12.550 12.857 10.985
-3.536 2.924 4.990
-12.245 1.758 7.987
1.938 -0.782 4.964
-6.687 -1.924 8.000
1.484 10.438 7.727
-7.157 9.237 10.847
-0.594 14.483 3.847
-9.241 13.322 6.907
6.932 2.099 6.620
-8.865 2.157 3.998
-4.058 20.790 9.696
-12.711 19.615 12.732
-3.864 9.621 6.745
-12.549 8.435 9.719
1.679 5.890 6.768
-6.927 4.632 9.840
1.167 17.066 9.504
-7.472 15.906 12.549
4.376 4.198 8.084
-11.423 4.143 5.412
-6.738 4.140 6.269
-1.006 16.120 6.955
-9.649 14.963 10.004
4.415 16.002 8.428
-4.224 14.841 11.474
-6.532 11.623 8.178
-15.149 10.492 11.211
-3.776 0.062 7.158
-12.468 -1.074 10.155
-1.422 19.099 11.052
-10.054 17.942 14.100
1.183 7.576 9.944
-7.470 6.398 12.965
-1.115 3.918 7.633
-9.790 2.713 10.687
1.865 5.198 3.219
0.496 14.738 12.119
-8.140 13.583 15.163
-3.335 12.554 4.716
-11.978 11.417 7.768
-1.726 11.495 9.083
-10.360 10.345 12.131
-5.615 1.041 2.771
-14.279 -0.150 5.812
-0.901 1.054 3.455
-9.558 -0.107 6.518
1.703 20.029 7.535
-6.935 18.865 10.576
3.251 18.920 11.897
-5.393 17.760 14.944
-0.613 8.461 5.608
-9.253 7.282 8.659
4.105 8.466 6.268
-4.529 7.329 9.314
-2.082 6.803 2.482
-10.545 5.448 5.577
-1.499 4.862 8.676
-10.185 3.629 11.749
-7.209 5.618 5.852
-15.953 4.188 8.979
-1.134 17.580 6.368
-9.769 16.417 9.402
-3.440 16.106 12.073
-12.087 14.947 15.119
-7.405 16.930 7.171
-16.038 15.779 10.215
-0.346 13.506 11.918
-8.988 12.355 14.965
-0.553 15.073 5.704
-9.190 13.908 8.757
5.191 14.578 8.937
-3.444 13.415 11.980
-0.970 2.524 8.199
-9.683 1.304 11.239
1.163 4.120 2.439
-7.665 3.017 5.385
5.396 3.120 7.228
-3.331 1.807 10.264
-5.793 13.037 8.285
-14.458 11.926 11.350
-3.644 13.546 5.752
-12.277 12.446 8.768
-2.222 12.850 8.813
-10.862 11.703 11.876
-3.738 1.590 6.695
-12.431 0.465 9.736
-4.986 2.194 3.420
-13.600 0.969 6.454
-1.637 2.086 4.167
-10.269 0.961 7.220
-1.769 -0.174 3.268
-10.460 -1.319 6.377
-3.403 -0.915 5.761
-12.059 -2.048 8.799
-4.879 -0.228 3.097
-13.601 -1.449 6.144
-3.267 11.167 5.334
-11.923 10.057 8.406
-2.471 10.484 8.244
-11.087 9.328 11.316
-5.456 10.528 7.352
-14.065 9.442 10.381
-0.698 20.510 11.160
-9.329 19.350 14.207
1.385 20.961 8.587
-7.257 19.792 11.628
2.660 20.189 11.492
-5.988 19.025 14.540
1.248 9.078 9.446
-7.459 7.945 12.582
0.070 9.559 6.258
-8.480 8.320 9.338
3.334 9.450 7.005
-5.283 8.348 10.018
3.247 7.213 6.066
-5.377 6.083 9.104
1.562 6.532 8.616
-7.128 5.432 11.610
0.071 7.150 5.933
-8.650 5.925 8.952
1.798 18.610 8.106
-6.838 17.443 11.149
2.560 17.785 11.160
-6.086 16.619 14.219
-0.447 17.939 10.272
-9.082 16.785 13.320
5.313 8.148 7.032
-3.262 7.071 9.962
-7.360 8.425 4.976
-16.038 7.190 7.920
-0.654 8.701 4.153
-9.189 7.575 7.214
0.756 20.123 6.436
-7.883 18.952 9.477
4.679 18.967 11.552
-3.966 17.804 14.599
-1.977 18.627 12.495
-10.616 17.468 15.541
-7.796 11.842 7.077
-16.426 10.695 10.120
-1.976 12.819 4.132
-10.610 11.665 7.176
-1.929 11.137 10.528
-10.542 10.003 13.592
-2.432 -0.158 8.170
-11.125 -1.266 11.211
-7.041 0.890 3.229
-15.714 -0.236 6.298
-0.540 1.535 2.066
-9.208 0.317 5.118
-5.397 15.665 6.986
-14.035 14.511 10.028
-2.407 15.709 7.654
-11.051 14.553 10.698
-4.269 15.079 9.868
-12.903 13.928 12.906
-2.069 4.001 6.536
-10.783 2.802 9.604
-5.139 4.102 5.984
-13.958 2.889 9.043
-3.415 4.816 3.692
-11.772 3.597 6.887
-2.809 19.303 10.052
-11.452 18.149 13.106
-5.526 19.148 10.058
-14.165 17.987 13.104
-4.123 19.878 7.605
-12.761 18.726 10.659
-4.675 8.556 5.249
-13.371 7.377 8.308
-2.046 8.361 6.085
-10.676 7.262 9.124
-4.258 7.828 7.882
-12.809 6.641 10.980
0.315 0.744 4.204
-8.352 -0.428 7.276
3.445 0.829 4.776
-5.163 -0.343 7.839
1.549 0.098 7.074
-7.134 -1.100 10.124
2.827 11.421 9.449
-5.808 10.286 12.484
-0.282 11.477 8.810
-8.907 10.357 11.865
1.678 12.254 6.553
-6.977 11.059 9.600
3.051 4.456 7.016
-5.561 3.234 10.181
0.284 4.275 7.129
-8.445 3.061 10.115
1.687 4.899 4.695
-7.012 3.815 7.891
0.244 16.001 8.087
-8.398 14.844 11.133
2.838 15.903 9.010
-5.798 14.745 12.058
0.757 15.279 10.729
-7.883 14.121 13.771
```